Entry 1:
Here is a geometry-optimized BaWN3 structure from Materials Project. Energies are from PBE-GGA.

Summary:
Calculated formation energy in eV/f.u.: -4.12
Uncorrected energy in eV for the cell shown: -171.67

a = 7.699 Å, b = 5.788 Å, c = 10.441 Å
α = 90.00°, β = 131.64°, γ = 90.00°
Space group P2_1/c (No. 14)
Symmetry-distinct sites (fractional):
Ba (0.214, 0.240, 0.373) [4 per cell]
W (0.341, 0.738, 0.638) [4 per cell]
N (0.082, 0.565, 0.569) [4 per cell]
N (0.291, 0.741, 0.944) [4 per cell]
N (0.375, 0.059, 0.710) [4 per cell]



Entry 2:
Here is a geometry-optimized Ba3WN3 structure from Materials Project. Energies are from PBE-GGA.

Summary:
Calculated formation energy in eV/f.u.: -6.22
M_tot in μB per atom: 0.0001
Uncorrected energy in eV for the cell shown: -97.71

a = 8.4645 Å, b = 8.4645 Å, c = 5.6841 Å
α = 90.00°, β = 90.00°, γ = 120.00°
Space group P6_3/m (No. 176)
Symmetry-distinct sites (fractional):
Ba (0.0936, 0.3580, 0.2500) [6 per cell]
W (0.3333, 0.6667, 0.7500) [2 per cell]
N (0.1250, 0.4352, 0.7500) [6 per cell]



Entry 3:
Here is a geometry-optimized Ba3WN4 structure from Materials Project. Energies are from PBE-GGA.

Summary:
Polymorph energy (0 for the lowest one) in meV/atom: 8
Calculated formation energy in eV/f.u.: -8.62
M_tot in μB per atom: 0.0000
Uncorrected energy in eV for the cell shown: -1066.23

a = 18.6989 Å, b = 18.6989 Å, c = 10.5722 Å
α = 90.00°, β = 90.00°, γ = 120.00°
Space group P31c (No. 159)
Symmetry-distinct sites (fractional):
Ba (0.0000, 0.0000, 0.1019) [2 per cell]
Ba (0.0201, 0.6687, 0.0743) [6 per cell]
Ba (0.0209, 0.3298, 0.6966) [6 per cell]
Ba (0.0753, 0.8476, 0.7651) [6 per cell]
Ba (0.0821, 0.2206, 0.4199) [6 per cell]
Ba (0.0990, 0.5704, 0.8374) [6 per cell]
Ba (0.1251, 0.5206, 0.4934) [6 per cell]
Ba (0.1841, 0.7360, 0.3425) [6 per cell]
Ba (0.1870, 0.4364, 0.0000) [6 per cell]
Ba (0.3333, 0.6667, 0.1536) [2 per cell]
Ba (0.3333, 0.6667, 0.6846) [2 per cell]
W (0.1045, 0.2249, 0.0855) [6 per cell]
W (0.1098, 0.5488, 0.1721) [6 per cell]
W (0.2039, 0.7640, 0.6782) [6 per cell]
N (0.0104, 0.1509, 0.1796) [6 per cell]
N (0.0168, 0.8516, 0.0064) [6 per cell]
N (0.0340, 0.4585, 0.0712) [6 per cell]
N (0.0590, 0.5776, 0.3021) [6 per cell]
N (0.0722, 0.2752, 0.9589) [6 per cell]
N (0.1196, 0.7287, 0.8017) [6 per cell]
N (0.1211, 0.8141, 0.1941) [6 per cell]
N (0.1630, 0.3580, 0.5632) [6 per cell]
N (0.1687, 0.6436, 0.0694) [6 per cell]
N (0.1742, 0.4821, 0.7566) [6 per cell]
N (0.1865, 0.5251, 0.2508) [6 per cell]
N (0.1990, 0.6731, 0.5897) [6 per cell]



Entry 4:
Here is a geometry-optimized BaWN3 structure from Materials Project. Energies are from PBE-GGA.

Summary:
Calculated formation energy in eV/f.u.: -4.07
M_tot in μB per atom: 0.0001
Uncorrected energy in eV for the cell shown: -171.47

a = 13.914 Å, b = 3.934 Å, c = 6.574 Å
α = 90.00°, β = 105.16°, γ = 90.00°
Space group C2/m (No. 12)
Symmetry-distinct sites (fractional):
Ba (0.106, 0.000, 0.314) [4 per cell]
W (0.160, 0.500, 0.879) [4 per cell]
N (0.033, 0.500, 0.945) [4 per cell]
N (0.146, 0.500, 0.598) [4 per cell]
N (0.191, 0.000, 0.977) [4 per cell]



Entry 5:
Here is a geometry-optimized Ba3Y2N4 structure from Materials Project. Energies are from PBE-GGA.

Summary:
Polymorph energy (0 for the lowest one) in meV/atom: 42
Calculated formation energy in eV/f.u.: -8.38
M_tot in μB per atom: 0.0001
Uncorrected energy in eV for the cell shown: -235.90

a = 6.584 Å, b = 12.522 Å, c = 10.844 Å
α = 90.00°, β = 90.00°, γ = 90.00°
Space group Pnna (No. 52)
Symmetry-distinct sites (fractional):
Ba (0.166, 0.166, 0.099) [8 per cell]
Ba (0.250, 0.000, 0.437) [4 per cell]
Y (0.216, 0.250, 0.750) [4 per cell]
Y (0.250, 0.000, 0.775) [4 per cell]
N (0.056, 0.128, 0.869) [8 per cell]
N (0.072, 0.621, 0.842) [8 per cell]



Entry 6:
Here is a geometry-optimized Ba3YN3 structure from Materials Project. Energies are from PBE-GGA.

Summary:
Calculated formation energy in eV/f.u.: -4.25
M_tot in μB per atom: 0.0000
Uncorrected energy in eV for the cell shown: -80.80

a = 8.6216 Å, b = 8.6216 Å, c = 5.8600 Å
α = 90.00°, β = 90.00°, γ = 120.00°
Space group P6_3/m (No. 176)
Symmetry-distinct sites (fractional):
Ba (0.0871, 0.3399, 0.2500) [6 per cell]
Y (0.3333, 0.6667, 0.7500) [2 per cell]
N (0.1188, 0.3792, 0.7500) [6 per cell]



Entry 7:
Here is a geometry-optimized Ba3Y2N4 structure from Materials Project. Energies are from PBE-GGA.

Summary:
Polymorph energy (0 for the lowest one) in meV/atom: 0
Calculated formation energy in eV/f.u.: -8.76
M_tot in μB per atom: 0.0001
Uncorrected energy in eV for the cell shown: -237.41

a = 11.661 Å, b = 10.587 Å, c = 6.973 Å
α = 90.00°, β = 91.99°, γ = 90.00°
Space group C2/c (No. 15)
Symmetry-distinct sites (fractional):
Ba (0.000, 0.074, 0.250) [4 per cell]
Ba (0.111, 0.307, 0.585) [8 per cell]
Y (0.244, 0.106, 0.922) [8 per cell]
N (0.112, 0.252, 0.994) [8 per cell]
N (0.201, 0.071, 0.599) [8 per cell]



Entry 8:
Here is a geometry-optimized BaZn2N2 structure from Materials Project. Energies are from PBE-GGA.

Summary:
Calculated formation energy in eV/f.u.: -1.34
M_tot in μB per atom: 0.0000
Uncorrected energy in eV for the cell shown: -21.73

a = 3.6655 Å, b = 3.6655 Å, c = 6.5990 Å
α = 90.00°, β = 90.00°, γ = 120.00°
Space group P-3m1 (No. 164)
Symmetry-distinct sites (fractional):
Ba (0.0000, 0.0000, 0.0000) [1 per cell]
Zn (0.3333, 0.6667, 0.3799) [2 per cell]
N (0.3333, 0.6667, 0.7089) [2 per cell]



Entry 9:
Here is a geometry-optimized BaZn2N2 structure from Materials Project. Energies are from PBE-GGA.

Summary:
Calculated formation energy in eV/f.u.: -1.46
M_tot in μB per atom: 0.0000
Uncorrected energy in eV for the cell shown: -87.41

a = 6.665 Å, b = 6.665 Å, c = 8.236 Å
α = 90.00°, β = 90.00°, γ = 90.00°
Space group I4/mcm (No. 140)
Symmetry-distinct sites (fractional):
Ba (0.000, 0.000, 0.250) [4 per cell]
Zn (0.135, 0.365, 0.000) [8 per cell]
N (0.163, 0.337, 0.500) [8 per cell]



Entry 10:
Here is a geometry-optimized Ba2ZnN2 structure from Materials Project. Energies are from PBE-GGA.

Summary:
Calculated formation energy in eV/f.u.: -2.84
Uncorrected energy in eV for the cell shown: -47.78

a = 4.221 Å, b = 4.221 Å, c = 13.055 Å
α = 90.00°, β = 90.00°, γ = 90.00°
Space group I4/mmm (No. 139)
Symmetry-distinct sites (fractional):
Ba (0.000, 0.000, 0.155) [4 per cell]
Zn (0.000, 0.000, 0.500) [2 per cell]
N (0.000, 0.000, 0.358) [4 per cell]



Entry 11:
Here is a geometry-optimized Ba5Zr2N6 structure from Materials Project. Energies are from PBE-GGA.

Summary:
Calculated formation energy in eV/f.u.: -13.22
M_tot in μB per atom: 0.0001
Uncorrected energy in eV for the cell shown: -351.07

a = 11.321 Å, b = 7.537 Å, c = 14.999 Å
α = 90.00°, β = 96.30°, γ = 90.00°
Space group C2/c (No. 15)
Symmetry-distinct sites (fractional):
Ba (0.000, 0.092, 0.250) [4 per cell]
Ba (0.037, 0.229, 0.979) [8 per cell]
Ba (0.155, 0.447, 0.706) [8 per cell]
Zr (0.224, 0.376, 0.423) [8 per cell]
N (0.059, 0.485, 0.379) [8 per cell]
N (0.144, 0.099, 0.663) [8 per cell]
N (0.197, 0.100, 0.442) [8 per cell]



Q: Among the records above, which one has the highest uncorrected energy?
A: number 8